(1)
DFT (PBE) results for crystalline PrNdFe14B at its relaxed geometry.

Computed properties:
Its symmetry is P4_2/mnm (136). The formation energy is -0.049 eV per atom.

a = 8.771 Å, b = 8.771 Å, c = 12.099 Å
α = 90.00°, β = 90.00°, γ = 90.00°
Fractional coordinates of all 68 atoms:
Pr 0.642 0.642 0.500
Pr 0.358 0.358 0.500
Pr 0.858 0.142 0.000
Pr 0.142 0.858 0.000
Nd 0.231 0.769 0.500
Nd 0.769 0.231 0.500
Nd 0.269 0.269 0.000
Nd 0.731 0.731 0.000
Fe 0.183 0.817 0.254
Fe 0.817 0.183 0.254
Fe 0.317 0.317 0.754
Fe 0.683 0.683 0.754
Fe 0.817 0.183 0.746
Fe 0.183 0.817 0.746
Fe 0.683 0.683 0.246
Fe 0.317 0.317 0.246
Fe 0.402 0.598 0.294
Fe 0.598 0.402 0.294
Fe 0.098 0.098 0.794
Fe 0.902 0.902 0.794
Fe 0.598 0.402 0.706
Fe 0.402 0.598 0.706
Fe 0.902 0.902 0.206
Fe 0.098 0.098 0.206
Fe 0.139 0.537 0.324
Fe 0.861 0.463 0.324
Fe 0.361 0.037 0.824
Fe 0.639 0.963 0.824
Fe 0.861 0.463 0.676
Fe 0.139 0.537 0.676
Fe 0.639 0.963 0.176
Fe 0.361 0.037 0.176
Fe 0.537 0.139 0.324
Fe 0.463 0.861 0.324
Fe 0.037 0.361 0.824
Fe 0.963 0.639 0.824
Fe 0.463 0.861 0.676
Fe 0.537 0.139 0.676
Fe 0.963 0.639 0.176
Fe 0.037 0.361 0.176
Fe 0.500 0.500 0.114
Fe 0.000 0.000 0.614
Fe 0.500 0.500 0.886
Fe 0.000 0.000 0.386
Fe 0.933 0.725 0.373
Fe 0.067 0.275 0.373
Fe 0.567 0.225 0.873
Fe 0.433 0.775 0.873
Fe 0.067 0.275 0.627
Fe 0.933 0.725 0.627
Fe 0.433 0.775 0.127
Fe 0.567 0.225 0.127
Fe 0.725 0.933 0.373
Fe 0.275 0.067 0.373
Fe 0.225 0.567 0.873
Fe 0.775 0.433 0.873
Fe 0.275 0.067 0.627
Fe 0.725 0.933 0.627
Fe 0.775 0.433 0.127
Fe 0.225 0.567 0.127
Fe 0.000 0.500 0.500
Fe 0.500 0.000 0.000
Fe 0.500 0.000 0.500
Fe 0.000 0.500 0.000
B 0.876 0.876 0.500
B 0.124 0.124 0.500
B 0.624 0.376 0.000
B 0.376 0.624 0.000

(2)
DFT (PBE) results for crystalline GdSi2Ni2 at its relaxed geometry.

Computed properties:
Its symmetry is I4/mmm (139). The formation energy is -0.839 eV per atom.

a = 5.536 Å, b = 5.536 Å, c = 5.536 Å
α = 137.93°, β = 137.93°, γ = 61.01°
Fractional coordinates of all 5 atoms:
Gd 0.000 0.000 0.000
Si 0.627 0.627 0.000
Si 0.373 0.373 0.000
Ni 0.250 0.750 0.500
Ni 0.750 0.250 0.500

(3)
DFT (PBE) results for crystalline K2Pd3Se4 at its relaxed geometry.

Computed properties:
Its symmetry is Fddd (70). The formation energy is -0.917 eV per atom. Its corrected total energy (MP2020 scheme) is -4.444 eV per atom.

a = 14.596 Å, b = 13.853 Å, c = 6.466 Å
α = 83.37°, β = 70.52°, γ = 26.10°
Fractional coordinates of all 18 atoms:
K 0.823 0.823 0.677
K 0.677 0.677 0.823
K 0.427 0.427 0.573
K 0.573 0.573 0.427
Pd 0.751 0.751 0.249
Pd 0.001 0.001 0.499
Pd 0.499 0.499 0.001
Pd 0.000 0.000 0.000
Pd 0.250 0.250 0.250
Pd 0.249 0.249 0.751
Se 0.778 0.099 0.889
Se 0.099 0.778 0.233
Se 0.889 0.233 0.778
Se 0.017 0.361 0.151
Se 0.472 0.151 0.361
Se 0.233 0.889 0.099
Se 0.361 0.017 0.472
Se 0.151 0.472 0.017